ErFe4B | r2SCAN | optimized geometry

Cell: 5.0357 5.0357 7.0256 Å, 90.00 90.00 120.00°
With the nearest neighbours (Å) after each atom.
Space group P6/mmm (No. 191)
One atom of each set of equivalent atoms:
Er (0.0000, 0.0000, 0.0000) x1  6 B 2.91, 12 Fe 2.94
Er (0.0000, 0.0000, 0.5000) x1  18 Fe 2.91-3.21
Fe (0.0000, 0.5000, 0.2155) x6  2 B 2.10
Fe (0.3333, 0.6667, 0.5000) x2  6 Fe 2.47
B (0.3333, 0.6667, 0.0000) x2  6 Fe 2.10

ErB2Ir3 | r2SCAN | optimized geometry

Cell: 5.4160 5.4160 3.1462 Å, 90.00 90.00 120.00°
With the nearest neighbours (Å) after each atom.
Space group P6/mmm (No. 191)
One atom of each set of equivalent atoms:
Er (0.0000, 0.0000, 0.0000) x1  6 B 3.13, 12 Ir 3.13, 2 Er 3.15
B (0.3333, 0.6667, 0.0000) x2  6 Ir 2.22
Ir (0.0000, 0.5000, 0.5000) x3  4 B 2.22

ErB4Ir4 | r2SCAN | optimized geometry

Cell: 5.3756 5.3756 7.4191 Å, 90.00 90.00 90.00°
With the nearest neighbours (Å) after each atom.
Space group P4_2/nmc (No. 137, origin choice 2)
One atom of each set of equivalent atoms:
Er (0.2500, 0.7500, 0.2500) x2  12 Ir 2.96-3.19, 12 B 3.06-3.11
B (0.0771, 0.2500, 0.0964) x8  1 B 1.86
Ir (0.0012, 0.7500, 0.6053) x8  5 B 2.21-2.25

The E_form results, record by record, are as follows: -1.12; -4.61; -5.03 eV/f.u..